Computed, not measured: a relaxed CuC2N2Cl4 crystal at the PBE level of DFT.

Geometry as CIF:
```
data_CuC2N2Cl4
_chemical_formula_sum 'Cu2 C4 N4 Cl8'
_cell_length_a 9.558
_cell_length_b 7.867
_cell_length_c 7.799
_cell_angle_alpha 90.00
_cell_angle_beta 113.23
_cell_angle_gamma 90.00
_space_group_name_H-M_alt 'P 1 21/c 1'
_space_group_IT_number 14
loop_
_space_group_symop_operation_xyz
'x,y,z'
'-x,-y,-z'
'-x,y+1/2,-z+1/2'
'x,-y+1/2,z+1/2'
loop_
_atom_site_label
_atom_site_fract_x
_atom_site_fract_y
_atom_site_fract_z
_atom_site_occupancy
Cu1 0.000 0.000 0.000 1
C1 0.373 0.025 0.687 1
N1 0.244 0.516 0.119 1
Cl1 0.021 0.189 0.817 1
Cl2 0.242 0.523 0.626 1
```

Results
Crystal system   monoclinic
Energy of formation from the pure elements   0.6638 eV/atom


Computed, not measured: a relaxed Bi6As9Se4S10O20F65 crystal at the PBE level of DFT.

Geometry as CIF:
```
data_Bi6As9Se4S10O20F65
_chemical_formula_sum 'Bi6 As9 Se4 S10 O20 F65'
_cell_length_a 10.568
_cell_length_b 13.820
_cell_length_c 15.347
_cell_angle_alpha 69.84
_cell_angle_beta 72.37
_cell_angle_gamma 69.84
_space_group_name_H-M_alt 'P -1'
_space_group_IT_number 2
loop_
_space_group_symop_operation_xyz
'x,y,z'
'-x,-y,-z'
loop_
_atom_site_label
_atom_site_fract_x
_atom_site_fract_y
_atom_site_fract_z
_atom_site_occupancy
Bi1 0.040 0.330 0.074 1
Bi2 0.104 0.550 0.186 1
Bi3 0.311 0.443 0.816 1
As1 0.081 0.701 0.617 1
As2 0.214 0.148 0.871 1
As3 0.295 0.794 0.163 1
As4 0.421 0.348 0.340 1
As5 0.500 0.500 0.000 1
Se1 0.360 0.005 0.470 1
Se2 0.411 0.003 0.607 1
S1 0.010 0.997 0.331 1
S2 0.070 0.339 0.578 1
S3 0.206 0.838 0.896 1
S4 0.390 0.101 0.166 1
S5 0.463 0.676 0.411 1
O1 0.001 0.595 0.357 1
O2 0.103 0.976 0.392 1
O3 0.105 0.820 0.860 1
O4 0.107 0.225 0.617 1
O5 0.134 0.000 0.625 1
O6 0.252 0.163 0.151 1
O7 0.318 0.874 0.825 1
O8 0.404 0.049 0.263 1
O9 0.432 0.395 0.643 1
O10 0.475 0.783 0.390 1
F1 0.000 0.500 0.000 1
F2 0.021 0.395 0.332 1
F3 0.023 0.739 0.726 1
F4 0.062 0.202 0.425 1
F5 0.071 0.248 0.825 1
F6 0.085 0.637 0.039 1
F7 0.113 0.442 0.799 1
F8 0.117 0.054 0.915 1
F9 0.133 0.406 0.143 1
F10 0.139 0.657 0.513 1
F11 0.145 0.185 0.981 1
F12 0.145 0.894 0.138 1
F13 0.181 0.791 0.570 1
F14 0.182 0.588 0.860 1
F15 0.219 0.759 0.285 1
F16 0.223 0.599 0.664 1
F17 0.229 0.695 0.149 1
F18 0.235 0.357 0.961 1
F19 0.274 0.453 0.303 1
F20 0.279 0.116 0.762 1
F21 0.308 0.248 0.827 1
F22 0.311 0.272 0.425 1
F23 0.351 0.495 0.095 1
F24 0.354 0.055 0.918 1
F25 0.364 0.883 0.180 1
F26 0.378 0.816 0.043 1
F27 0.409 0.413 0.425 1
F28 0.417 0.630 0.944 1
F29 0.427 0.290 0.253 1
F30 0.432 0.448 0.938 1
F31 0.432 0.751 0.627 1
F32 0.447 0.685 0.191 1
F33 0.471 0.570 0.746 1
```

Results
Crystal system   triclinic
Energy of formation from the pure elements   -2.1971 eV/atom


Computed, not measured: a relaxed LuCoC crystal at the PBE level of DFT.

Geometry as CIF:
```
data_LuCoC
_chemical_formula_sum 'Lu2 Co2 C2'
_cell_length_a 3.597
_cell_length_b 3.597
_cell_length_c 6.594
_cell_angle_alpha 90.00
_cell_angle_beta 90.00
_cell_angle_gamma 90.00
_space_group_name_H-M_alt 'P 42/m m c'
_space_group_IT_number 131
_space_group_name_Hall '-P 4c 2'
loop_
_atom_site_label
_atom_site_fract_x
_atom_site_fract_y
_atom_site_fract_z
_atom_site_occupancy
Lu1 0.000 0.000 0.250 1
Co1 0.500 0.500 0.000 1
C1 0.000 0.500 0.000 1
```

Results
Excess energy over the best structure of this formula in the dataset   0.000 eV/atom
Crystal system   tetragonal
Energy of formation from the pure elements   -0.3640 eV/atom


Computed, not measured: a relaxed InH3F3 crystal at the PBE level of DFT.

Geometry as CIF:
```
data_InH3F3
_chemical_formula_sum 'In2 H6 F6'
_cell_length_a 7.489
_cell_length_b 4.620
_cell_length_c 9.925
_cell_angle_alpha 90.00
_cell_angle_beta 122.90
_cell_angle_gamma 90.00
_space_group_name_H-M_alt 'P 1 2/c 1'
_space_group_IT_number 13
loop_
_space_group_symop_operation_xyz
'x,y,z'
'-x,-y,-z'
'-x,y,-z+1/2'
'x,-y,z+1/2'
loop_
_atom_site_label
_atom_site_fract_x
_atom_site_fract_y
_atom_site_fract_z
_atom_site_occupancy
In1 0.000 0.067 0.250 1
H1 0.356 0.004 0.106 1
H2 0.500 0.420 0.250 1
F1 0.000 0.423 0.750 1
F2 0.284 0.104 0.643 1
```

Results
Crystal system   monoclinic
Energy of formation from the pure elements   -1.0039 eV/atom


Computed, not measured: a relaxed Na6Y5Ta3Si6S6O48 crystal at the PBE level of DFT.

Geometry as CIF:
```
data_Na6Y5Ta3Si6S6O48
_chemical_formula_sum 'Na18 Y15 Ta9 Si18 S18 O144'
_cell_length_a 9.159
_cell_length_b 15.871
_cell_length_c 23.426
_cell_angle_alpha 90.10
_cell_angle_beta 90.40
_cell_angle_gamma 90.03
_space_group_name_H-M_alt 'P 1'
_space_group_IT_number 1
loop_
_space_group_symop_operation_xyz
'x,y,z'
loop_
_atom_site_label
_atom_site_fract_x
_atom_site_fract_y
_atom_site_fract_z
_atom_site_occupancy
Na1 0.000 0.000 0.000 1
Na2 0.000 0.010 0.496 1
Na3 0.123 0.839 0.569 1
Na4 0.178 0.522 0.584 1
Na5 0.287 0.011 0.080 1
Na6 0.319 0.342 0.080 1
Na7 0.475 0.512 0.986 1
Na8 0.496 0.169 0.169 1
Na9 0.497 0.840 0.321 1
Na10 0.507 0.160 0.657 1
Na11 0.511 0.528 0.497 1
Na12 0.522 0.834 0.818 1
Na13 0.633 0.340 0.579 1
Na14 0.684 0.009 0.575 1
Na15 0.968 0.669 0.155 1
Na16 0.978 0.357 0.822 1
Na17 0.988 0.330 0.308 1
Na18 0.992 0.657 0.652 1
Y1 0.482 0.169 0.008 1
Y2 0.489 0.832 0.963 1
Y3 0.490 0.162 0.509 1
Y4 0.491 0.833 0.470 1
Y5 0.492 0.166 0.298 1
Y6 0.493 0.502 0.135 1
Y7 0.495 0.505 0.638 1
Y8 0.497 0.164 0.797 1
Y9 0.983 0.666 0.510 1
Y10 0.984 0.666 0.300 1
Y11 0.986 0.008 0.636 1
Y12 0.986 0.331 0.465 1
Y13 0.987 0.000 0.137 1
Y14 0.987 0.660 0.803 1
Y15 0.991 0.337 0.968 1
Ta1 0.004 0.337 0.176 1
Ta2 0.478 0.833 0.176 1
Ta3 0.496 0.496 0.833 1
Ta4 0.498 0.496 0.331 1
Ta5 0.500 0.834 0.669 1
Ta6 0.974 0.990 0.837 1
Ta7 0.976 0.339 0.678 1
Ta8 0.985 0.665 0.006 1
Ta9 0.986 0.000 0.326 1
Si1 0.129 0.485 0.070 1
Si2 0.134 0.189 0.070 1
Si3 0.195 0.496 0.732 1
Si4 0.196 0.827 0.067 1
Si5 0.285 0.995 0.232 1
Si6 0.339 0.354 0.231 1
Si7 0.344 0.688 0.572 1
Si8 0.348 0.980 0.571 1
Si9 0.640 0.353 0.732 1
Si10 0.685 0.989 0.734 1
Si11 0.787 0.833 0.571 1
Si12 0.793 0.496 0.233 1
Si13 0.827 0.521 0.903 1
Si14 0.833 0.852 0.232 1
Si15 0.842 0.193 0.572 1
Si16 0.846 0.479 0.570 1
Si17 0.850 0.154 0.232 1
Si18 0.850 0.812 0.902 1
S1 0.123 0.151 0.742 1
S2 0.132 0.826 0.401 1
S3 0.146 0.858 0.739 1
S4 0.160 0.517 0.401 1
S5 0.183 0.158 0.400 1
S6 0.276 0.332 0.573 1
S7 0.279 0.657 0.905 1
S8 0.325 0.019 0.901 1
S9 0.350 0.323 0.900 1
S10 0.356 0.651 0.239 1
S11 0.621 0.975 0.073 1
S12 0.624 0.653 0.741 1
S13 0.630 0.326 0.402 1
S14 0.648 0.692 0.070 1
S15 0.659 0.017 0.402 1
S16 0.679 0.660 0.399 1
S17 0.699 0.332 0.072 1
S18 0.797 0.158 0.900 1
O1 0.043 0.576 0.060 1
O2 0.045 0.233 0.739 1
O3 0.059 0.910 0.393 1
O4 0.060 0.100 0.791 1
O5 0.062 0.433 0.128 1
O6 0.078 0.093 0.072 1
O7 0.082 0.775 0.746 1
O8 0.082 0.790 0.456 1
O9 0.083 0.233 0.011 1
O10 0.085 0.233 0.401 1
O11 0.085 0.574 0.739 1
O12 0.090 0.770 0.353 1
O13 0.091 0.897 0.687 1
O14 0.092 0.079 0.394 1
O15 0.092 0.254 0.125 1
O16 0.094 0.563 0.354 1
O17 0.094 0.910 0.073 1
O18 0.099 0.740 0.058 1
O19 0.102 0.916 0.789 1
O20 0.104 0.404 0.730 1
O21 0.104 0.430 0.402 1
O22 0.108 0.104 0.689 1
O23 0.111 0.423 0.017 1
O24 0.135 0.562 0.456 1
O25 0.159 0.357 0.231 1
O26 0.161 0.983 0.285 1
O27 0.163 0.014 0.892 1
O28 0.165 0.690 0.572 1
O29 0.176 0.987 0.581 1
O30 0.181 0.649 0.956 1
O31 0.182 0.325 0.624 1
O32 0.190 0.340 0.520 1
O33 0.191 0.336 0.901 1
O34 0.197 0.671 0.853 1
O35 0.203 0.668 0.249 1
O36 0.208 0.007 0.172 1
O37 0.269 0.152 0.454 1
O38 0.280 0.166 0.752 1
O39 0.281 0.165 0.351 1
O40 0.281 0.504 0.673 1
O41 0.293 0.838 0.400 1
O42 0.305 0.500 0.076 1
O43 0.307 0.842 0.016 1
O44 0.308 0.856 0.740 1
O45 0.313 0.816 0.126 1
O46 0.319 0.188 0.070 1
O47 0.320 0.493 0.788 1
O48 0.324 0.513 0.392 1
O49 0.352 0.064 0.956 1
O50 0.366 0.578 0.902 1
O51 0.372 0.256 0.570 1
O52 0.372 0.407 0.576 1
O53 0.373 0.603 0.186 1
O54 0.376 0.902 0.228 1
O55 0.377 0.929 0.514 1
O56 0.381 0.729 0.912 1
O57 0.385 0.933 0.902 1
O58 0.387 0.422 0.286 1
O59 0.391 0.268 0.853 1
O60 0.392 0.066 0.854 1
O61 0.397 0.262 0.245 1
O62 0.397 0.744 0.631 1
O63 0.398 0.590 0.574 1
O64 0.399 0.393 0.173 1
O65 0.402 0.066 0.247 1
O66 0.407 0.731 0.515 1
O67 0.409 0.289 0.955 1
O68 0.419 0.925 0.628 1
O69 0.423 0.408 0.892 1
O70 0.425 0.606 0.289 1
O71 0.437 0.733 0.234 1
O72 0.441 0.069 0.572 1
O73 0.536 0.056 0.073 1
O74 0.540 0.733 0.740 1
O75 0.558 0.413 0.393 1
O76 0.564 0.926 0.125 1
O77 0.568 0.604 0.791 1
O78 0.574 0.065 0.745 1
O79 0.575 0.261 0.744 1
O80 0.575 0.295 0.457 1
O81 0.583 0.582 0.392 1
O82 0.583 0.734 0.399 1
O83 0.587 0.390 0.673 1
O84 0.588 0.272 0.354 1
O85 0.589 0.606 0.072 1
O86 0.589 0.929 0.021 1
O87 0.594 0.733 0.018 1
O88 0.594 0.898 0.733 1
O89 0.596 0.066 0.355 1
O90 0.596 0.405 0.073 1
O91 0.597 0.930 0.400 1
O92 0.600 0.421 0.788 1
O93 0.600 0.606 0.688 1
O94 0.606 0.253 0.070 1
O95 0.613 0.741 0.122 1
O96 0.630 0.060 0.457 1
O97 0.641 0.520 0.893 1
O98 0.650 0.846 0.225 1
O99 0.661 0.197 0.571 1
O100 0.670 0.489 0.290 1
O101 0.671 0.486 0.572 1
O102 0.673 0.826 0.629 1
O103 0.680 0.836 0.909 1
O104 0.683 0.174 0.248 1
O105 0.687 0.851 0.516 1
O106 0.691 0.518 0.180 1
O107 0.700 0.166 0.851 1
O108 0.713 0.143 0.953 1
O109 0.760 0.648 0.453 1
O110 0.774 0.002 0.677 1
O111 0.777 0.990 0.077 1
O112 0.778 0.665 0.351 1
O113 0.780 0.669 0.746 1
O114 0.782 0.337 0.019 1
O115 0.789 0.341 0.401 1
O116 0.791 0.328 0.124 1
O117 0.810 0.982 0.790 1
O118 0.814 0.687 0.067 1
O119 0.822 0.011 0.395 1
O120 0.823 0.348 0.732 1
O121 0.867 0.098 0.177 1
O122 0.868 0.919 0.288 1
O123 0.874 0.404 0.227 1
O124 0.875 0.584 0.960 1
O125 0.876 0.424 0.910 1
O126 0.881 0.747 0.571 1
O127 0.886 0.764 0.845 1
O128 0.888 0.423 0.516 1
O129 0.890 0.079 0.891 1
O130 0.890 0.095 0.575 1
O131 0.894 0.759 0.246 1
O132 0.896 0.230 0.903 1
O133 0.896 0.561 0.847 1
O134 0.896 0.913 0.578 1
O135 0.898 0.890 0.176 1
O136 0.899 0.250 0.630 1
O137 0.903 0.234 0.514 1
O138 0.910 0.569 0.246 1
O139 0.911 0.426 0.630 1
O140 0.922 0.762 0.959 1
O141 0.925 0.097 0.289 1
O142 0.934 0.909 0.892 1
O143 0.936 0.567 0.571 1
O144 0.943 0.243 0.227 1
```

Results
Crystal system   triclinic
Energy of formation from the pure elements   -2.8265 eV/atom


Computed, not measured: a relaxed Sr3Ca crystal at the PBE level of DFT.

Geometry as CIF:
```
data_Sr3Ca
_chemical_formula_sum 'Sr6 Ca2'
_cell_length_a 5.916
_cell_length_b 5.916
_cell_length_c 11.773
_cell_angle_alpha 90.00
_cell_angle_beta 90.00
_cell_angle_gamma 90.00
_space_group_name_H-M_alt 'I 4/m m m'
_space_group_IT_number 139
_space_group_name_Hall '-I 4 2'
loop_
_atom_site_label
_atom_site_fract_x
_atom_site_fract_y
_atom_site_fract_z
_atom_site_occupancy
Sr1 0.000 0.000 0.000 1
Sr2 0.000 0.500 0.250 1
Ca1 0.000 0.000 0.500 1
```

Results
Crystal system   tetragonal
Energy of formation from the pure elements   0.0123 eV/atom


Computed, not measured: a relaxed HgBi3 crystal at the PBE level of DFT.

Geometry as CIF:
```
data_HgBi3
_chemical_formula_sum 'Hg2 Bi6'
_cell_length_a 5.108
_cell_length_b 5.108
_cell_length_c 9.270
_cell_angle_alpha 90.00
_cell_angle_beta 90.00
_cell_angle_gamma 90.00
_space_group_name_H-M_alt 'I 4/m m m'
_space_group_IT_number 139
_space_group_name_Hall '-I 4 2'
loop_
_atom_site_label
_atom_site_fract_x
_atom_site_fract_y
_atom_site_fract_z
_atom_site_occupancy
Hg1 0.000 0.000 0.000 1
Bi1 0.000 0.000 0.500 1
Bi2 0.000 0.500 0.250 1
```

Results
Excess energy over the best structure of this formula in the dataset   0.000 eV/atom
Crystal system   tetragonal
Energy of formation from the pure elements   0.1059 eV/atom